1.
Compound: BaEuMgFe2O5
Source: Materials Project
Functional: PBE with a Hubbard U
Structure: relaxed Values from VASP.

ΔE_f   -1.9519 eV per atom
Total magnetization   14.4 μB per cell
Space group   No. 47
VASP energy   -6.703 eV/atom
E above lowest polymorph   175 meV per atom

Cell and atoms, written as Quantum ESPRESSO input:
```
&SYSTEM
  ibrav = 0, nat = 10, ntyp = 5
/
ATOMIC_SPECIES
Ba 137.33 Ba.upf
Eu 151.96 Eu.upf
Mg 24.30 Mg.upf
Fe 55.84 Fe.upf
O 16.00 O.upf
CELL_PARAMETERS angstrom
3.7955 0.0000 0.0000
0.0000 5.7888 0.0000
0.0000 0.0000 7.2725
ATOMIC_POSITIONS crystal
Ba 0.0000 0.0000 0.0000
Eu 0.0000 0.0000 0.5000
Mg 0.0000 0.5000 0.0000
Fe 0.5000 0.5000 0.2972
Fe 0.5000 0.5000 0.7028
O 0.0000 0.5000 0.2790
O 0.0000 0.5000 0.7210
O 0.5000 0.0000 0.2764
O 0.5000 0.0000 0.7236
O 0.5000 0.5000 0.0000
```



2.
Compound: Tb2Mo3O12
Source: Materials Project
Functional: PBE with a Hubbard U
Structure: relaxed Values from VASP.

ΔE_f   -2.6574 eV per atom
Total magnetization   0.0 μB per cell
Space group   No. 32
VASP energy   -7.559 eV/atom

Cell and atoms, written as Quantum ESPRESSO input:
```
&SYSTEM
  ibrav = 0, nat = 68, ntyp = 3
/
ATOMIC_SPECIES
Tb 158.93 Tb.upf
Mo 95.94 Mo.upf
O 16.00 O.upf
CELL_PARAMETERS angstrom
10.5582 0.0000 0.0000
0.0000 10.5675 0.0000
0.0000 0.0000 10.7500
ATOMIC_POSITIONS crystal
Tb 0.0036 0.1876 0.0000
Tb 0.1877 0.5019 0.4753
Tb 0.3123 0.0019 0.4753
Tb 0.4964 0.6876 0.0000
Tb 0.5036 0.3124 0.0000
Tb 0.6877 0.9981 0.4753
Tb 0.8123 0.4981 0.4753
Tb 0.9964 0.8124 0.0000
Mo 0.0013 0.7929 0.3815
Mo 0.2068 0.5065 0.0937
Mo 0.2455 0.7535 0.7375
Mo 0.2545 0.2535 0.7375
Mo 0.2932 0.0065 0.0937
Mo 0.4987 0.2929 0.3815
Mo 0.5013 0.7071 0.3815
Mo 0.7068 0.9935 0.0937
Mo 0.7455 0.7465 0.7375
Mo 0.7545 0.2465 0.7375
Mo 0.7932 0.4935 0.0937
Mo 0.9987 0.2071 0.3815
O 0.0035 0.3736 0.4296
O 0.0123 0.1958 0.2165
O 0.1237 0.3739 0.0316
O 0.1256 0.8244 0.8325
O 0.1265 0.9973 0.0460
O 0.1285 0.1248 0.4505
O 0.1389 0.1816 0.8369
O 0.1451 0.6533 0.0386
O 0.1503 0.8558 0.4291
O 0.1749 0.6368 0.6386
O 0.1822 0.3721 0.6419
O 0.1954 0.5060 0.2591
O 0.3046 0.0060 0.2591
O 0.3178 0.8721 0.6419
O 0.3251 0.1368 0.6386
O 0.3497 0.3558 0.4291
O 0.3549 0.1533 0.0386
O 0.3611 0.6816 0.8369
O 0.3715 0.6248 0.4505
O 0.3735 0.4973 0.0460
O 0.3744 0.3244 0.8325
O 0.3763 0.8739 0.0316
O 0.4877 0.6958 0.2165
O 0.4965 0.8736 0.4296
O 0.5035 0.1264 0.4296
O 0.5123 0.3042 0.2165
O 0.6237 0.1261 0.0316
O 0.6256 0.6756 0.8325
O 0.6265 0.5027 0.0460
O 0.6285 0.3752 0.4505
O 0.6389 0.3184 0.8369
O 0.6451 0.8467 0.0386
O 0.6503 0.6442 0.4291
O 0.6749 0.8632 0.6386
O 0.6822 0.1279 0.6419
O 0.6954 0.9940 0.2591
O 0.8046 0.4940 0.2591
O 0.8178 0.6279 0.6419
O 0.8251 0.3632 0.6386
O 0.8497 0.1442 0.4291
O 0.8549 0.3467 0.0386
O 0.8611 0.8184 0.8369
O 0.8715 0.8752 0.4505
O 0.8735 0.0027 0.0460
O 0.8744 0.1756 0.8325
O 0.8763 0.6261 0.0316
O 0.9877 0.8042 0.2165
O 0.9965 0.6264 0.4296
```



3.
Compound: MgPb2WO6
Source: Materials Project
Functional: PBE with a Hubbard U
Structure: relaxed Values from VASP.

ΔE_f   -2.1406 eV per atom
Total magnetization   0.0 μB per cell
Space group   No. 62
VASP energy   -6.452 eV/atom
E above lowest polymorph   0 meV per atom

Cell and atoms, written as Quantum ESPRESSO input:
```
&SYSTEM
  ibrav = 0, nat = 40, ntyp = 4
/
ATOMIC_SPECIES
Mg 24.30 Mg.upf
Pb 207.20 Pb.upf
W 183.84 W.upf
O 16.00 O.upf
CELL_PARAMETERS angstrom
11.6075 0.0000 0.0000
0.0000 8.0526 0.0000
0.0000 0.0000 5.8010
ATOMIC_POSITIONS crystal
Mg 0.1203 0.2500 0.2443
Mg 0.3797 0.7500 0.7443
Mg 0.6203 0.2500 0.2557
Mg 0.8797 0.7500 0.7557
Pb 0.1453 0.5053 0.7087
Pb 0.1453 0.9947 0.7087
Pb 0.3547 0.0053 0.2087
Pb 0.3547 0.4947 0.2087
Pb 0.6453 0.5053 0.7913
Pb 0.6453 0.9947 0.7913
Pb 0.8547 0.0053 0.2913
Pb 0.8547 0.4947 0.2913
W 0.1166 0.7500 0.2460
W 0.3834 0.2500 0.7460
W 0.6166 0.7500 0.2540
W 0.8834 0.2500 0.7540
O 0.0013 0.7500 0.4850
O 0.0103 0.7500 0.0046
O 0.1339 0.5083 0.2709
O 0.1339 0.9917 0.2709
O 0.2355 0.7500 0.5226
O 0.2485 0.2500 0.5374
O 0.2515 0.7500 0.0374
O 0.2645 0.2500 0.0226
O 0.3661 0.0083 0.7709
O 0.3661 0.4917 0.7709
O 0.4897 0.2500 0.5046
O 0.4987 0.2500 0.9850
O 0.5013 0.7500 0.0150
O 0.5103 0.7500 0.4954
O 0.6339 0.5083 0.2291
O 0.6339 0.9917 0.2291
O 0.7355 0.7500 0.9774
O 0.7485 0.2500 0.9626
O 0.7515 0.7500 0.4626
O 0.7645 0.2500 0.4774
O 0.8661 0.0083 0.7291
O 0.8661 0.4917 0.7291
O 0.9897 0.2500 0.9954
O 0.9987 0.2500 0.5150
```



4.
Compound: Sr2CoSbO6
Source: Materials Project
Functional: PBE with a Hubbard U
Structure: relaxed Values from VASP.

ΔE_f   -2.3607 eV per atom
Total magnetization   0.0 μB per cell
VASP energy   -6.215 eV/atom

Cell and atoms, written as Quantum ESPRESSO input:
```
&SYSTEM
  ibrav = 0, nat = 20, ntyp = 4
/
ATOMIC_SPECIES
O 16.00 O.upf
Sr 87.62 Sr.upf
Co 58.93 Co.upf
Sb 121.76 Sb.upf
CELL_PARAMETERS angstrom
-4.0563 -4.0561 -0.0009
-0.0014 -0.0005 -7.7925
4.0563 -4.0561 0.0005
ATOMIC_POSITIONS crystal
O 0.7554 0.0000 0.7554
O 0.2554 0.5000 0.2554
O 0.2446 0.9999 0.7554
O 0.2446 0.0000 0.2446
O 0.5001 0.2413 0.5000
O 0.0000 0.2587 0.0000
O 0.7446 0.5000 0.2554
O 0.7446 0.5000 0.7446
O 0.2554 0.5000 0.7446
O 0.7554 0.0001 0.2446
O 0.4999 0.7587 0.5000
O 0.0000 0.7413 0.0000
Sr 0.5000 0.2500 0.0000
Sr 0.0000 0.7500 0.5000
Sr 0.5000 0.7500 0.0000
Sr 0.0000 0.2500 0.5000
Co 0.5000 0.0000 0.5000
Co 0.0000 0.5000 0.0000
Sb 0.0000 0.0000 0.0000
Sb 0.5000 0.5000 0.5000
```



5.
Compound: LiCoSbO4
Source: Materials Project
Functional: PBE with a Hubbard U
Structure: relaxed Values from VASP.

ΔE_f   -1.8974 eV per atom
Total magnetization   0.0 μB per cell
VASP energy   -5.976 eV/atom
E above lowest polymorph   0 meV per atom

Cell and atoms, written as Quantum ESPRESSO input:
```
&SYSTEM
  ibrav = 0, nat = 28, ntyp = 4
/
ATOMIC_SPECIES
Co 58.93 Co.upf
Sb 121.76 Sb.upf
O 16.00 O.upf
Li 6.94 Li.upf
CELL_PARAMETERS angstrom
-4.9459 3.4574 -0.3024
-3.2221 -3.9779 7.2201
2.7565 4.2559 3.5750
ATOMIC_POSITIONS crystal
Co 0.5000 0.5000 0.0000
Co 0.0000 0.5000 0.0000
Co 0.5000 0.0000 0.5000
Co 0.0000 0.0000 0.5000
Sb 0.7500 0.2500 0.7500
Sb 0.2500 0.7500 0.7500
Sb 0.2500 0.7500 0.2500
Sb 0.7500 0.2500 0.2500
O 0.5235 0.2498 0.5000
O 0.4765 0.7498 0.0000
O 0.0235 0.7498 0.0000
O 0.7500 0.0270 0.7303
O 0.0235 0.7502 0.5000
O 0.2500 0.5270 0.7697
O 0.7500 0.4730 0.2303
O 0.2500 0.9730 0.2697
O 0.7500 0.0270 0.2697
O 0.4765 0.7502 0.5000
O 0.9765 0.2498 0.5000
O 0.9765 0.2502 0.0000
O 0.5235 0.2502 0.0000
O 0.2500 0.9730 0.7303
O 0.7500 0.4730 0.7697
O 0.2500 0.5270 0.2303
Li 0.2500 0.1044 0.0000
Li 0.7500 0.6044 0.5000
Li 0.7500 0.8956 0.0000
Li 0.2500 0.3956 0.5000
```



6.
Compound: LiFeBO3
Source: Materials Project
Functional: PBE with a Hubbard U
Structure: relaxed Values from VASP.

ΔE_f   -2.2781 eV per atom
Total magnetization   0.0 μB per cell
Space group   No. 14
VASP energy   -6.876 eV/atom
E above lowest polymorph   54 meV per atom

Cell and atoms, written as Quantum ESPRESSO input:
```
&SYSTEM
  ibrav = 0, nat = 24, ntyp = 4
/
ATOMIC_SPECIES
Li 6.94 Li.upf
Fe 55.84 Fe.upf
B 10.81 B.upf
O 16.00 O.upf
CELL_PARAMETERS angstrom
5.5734 0.0000 0.0000
0.0000 7.7739 0.0000
-3.2585 0.0000 6.4091
ATOMIC_POSITIONS crystal
Li 0.1481 0.0575 0.4047
Li 0.1481 0.4425 0.9047
Li 0.8519 0.5575 0.0953
Li 0.8519 0.9425 0.5953
Fe 0.3879 0.7504 0.2486
Fe 0.3879 0.7496 0.7486
Fe 0.6121 0.2504 0.2514
Fe 0.6121 0.2496 0.7514
B 0.2015 0.1306 0.8087
B 0.2015 0.3694 0.3087
B 0.7985 0.6306 0.6913
B 0.7985 0.8694 0.1913
O 0.0526 0.6368 0.7079
O 0.0526 0.8632 0.2079
O 0.2684 0.0085 0.6991
O 0.2684 0.4915 0.1991
O 0.3941 0.2428 0.4183
O 0.3941 0.2572 0.9183
O 0.6059 0.7428 0.0817
O 0.6059 0.7572 0.5817
O 0.7316 0.5085 0.8009
O 0.7316 0.9915 0.3009
O 0.9474 0.1368 0.7921
O 0.9474 0.3632 0.2921
```



Question: What is the formula in the first record?
Answer: BaEuMgFe2O5